The following is a PBE calculation of a relaxed structure of YMg2, from the Materials Project database.

The structure in POSCAR format:
```
YMg2
1.0
-3.902 7.693 -0.332
0.796 -8.536 -1.008
-1.967 -0.780 5.051
Y Mg
2 4
Direct
0.224 0.776 0.250
0.776 0.224 0.750
0.553 0.447 0.250
0.894 0.106 0.250
0.106 0.894 0.750
0.447 0.553 0.750
```

Properties
ΔH_f (0 K)   0.050 eV per atom
Final energy   -3.173 eV per atom

---

The following is a PBE calculation of a relaxed structure of TbPrFe4, from the Materials Project database.

The structure in POSCAR format:
```
TbPrFe4
1.0
4.521 2.009 1.721
-0.010 4.351 2.916
1.211 -0.256 5.090
Tb Pr Fe
1 1 4
Direct
0.000 0.000 0.000
0.250 0.250 0.250
0.625 0.625 0.125
0.625 0.125 0.625
0.125 0.625 0.625
0.625 0.625 0.625
```

Properties
ΔH_f (0 K)   0.267 eV per atom
Final energy   -6.949 eV per atom

---

The following is a PBE calculation of a relaxed structure of K2MgP2Se6, from the Materials Project database.

The structure in POSCAR format:
```
K2MgP2Se6
1.0
-9.510 -6.790 -5.790
-1.597 -2.697 5.787
-6.106 3.829 5.539
K Mg P Se
4 2 4 12
Direct
0.196 0.655 0.054
0.696 0.345 0.446
0.804 0.345 0.946
0.304 0.655 0.554
0.000 0.000 0.500
0.500 0.000 0.000
0.476 0.353 0.136
0.524 0.647 0.864
0.024 0.353 0.636
0.976 0.647 0.364
0.547 0.453 0.730
0.047 0.547 0.770
0.453 0.547 0.270
0.953 0.453 0.230
0.601 0.088 0.233
0.101 0.912 0.267
0.399 0.912 0.767
0.899 0.088 0.733
0.338 0.186 0.100
0.838 0.814 0.400
0.662 0.814 0.900
0.162 0.186 0.600
```

Properties
ΔH_f (0 K)   -0.980 eV per atom
Final energy   -3.961 eV per atom

---

The following is a PBE calculation of a relaxed structure of Na2La2Sc2SiS5O24, from the Materials Project database.

The structure in POSCAR format:
```
Na2La2Sc2SiS5O24
1.0
-3.136 7.319 -4.540
-4.600 -7.892 -0.327
-12.935 6.709 19.718
Na La Sc Si S O
6 6 6 3 15 72
Direct
0.987 0.983 0.508
0.000 0.000 0.998
0.668 0.323 0.827
0.652 0.322 0.333
0.332 0.675 0.173
0.371 0.681 0.665
0.012 0.002 0.343
0.974 0.983 0.650
0.666 0.332 0.687
0.666 0.344 0.481
0.352 0.668 0.520
0.348 0.678 0.819
0.987 0.003 0.848
0.014 0.994 0.154
0.657 0.322 0.183
0.668 0.333 0.987
0.333 0.667 0.017
0.333 0.680 0.311
0.307 0.000 0.246
0.703 0.008 0.755
0.668 0.636 0.584
0.698 0.695 0.244
0.998 0.302 0.244
0.289 0.287 0.756
0.998 0.708 0.758
0.970 0.334 0.582
0.361 0.031 0.583
0.959 0.624 0.082
0.664 0.041 0.082
0.377 0.336 0.083
0.634 0.662 0.925
0.031 0.368 0.924
0.337 0.972 0.925
0.625 0.961 0.409
0.334 0.378 0.409
0.044 0.663 0.411
0.240 0.043 0.301
0.793 0.758 0.295
0.960 0.205 0.295
0.189 0.184 0.804
0.000 0.813 0.805
0.816 0.003 0.808
0.783 0.995 0.698
0.208 0.209 0.704
0.017 0.794 0.705
0.790 0.814 0.198
0.022 0.207 0.198
0.173 0.972 0.195
0.881 0.334 0.632
0.457 0.116 0.632
0.667 0.536 0.639
0.883 0.519 0.131
0.636 0.119 0.131
0.483 0.364 0.131
0.460 0.310 0.034
0.851 0.540 0.034
0.687 0.150 0.033
0.454 0.121 0.532
0.665 0.537 0.528
0.873 0.323 0.532
0.537 0.685 0.970
0.150 0.465 0.970
0.318 0.851 0.970
0.550 0.878 0.461
0.329 0.454 0.461
0.128 0.670 0.463
0.146 0.666 0.363
0.520 0.857 0.362
0.335 0.481 0.362
0.091 0.463 0.872
0.372 0.913 0.873
0.540 0.625 0.873
0.020 0.812 0.409
0.794 0.979 0.406
0.181 0.208 0.408
0.019 0.200 0.920
0.184 0.985 0.921
0.802 0.817 0.920
0.998 0.188 0.580
0.197 0.025 0.582
0.835 0.822 0.578
0.976 0.795 0.089
0.815 0.023 0.088
0.207 0.183 0.090
0.692 0.178 0.760
0.457 0.304 0.760
0.839 0.546 0.760
0.679 0.527 0.233
0.854 0.328 0.232
0.493 0.162 0.231
0.655 0.513 0.937
0.861 0.346 0.936
0.488 0.141 0.937
0.636 0.128 0.406
0.488 0.362 0.406
0.878 0.506 0.407
0.359 0.488 0.073
0.131 0.644 0.073
0.510 0.870 0.073
0.335 0.858 0.583
0.501 0.657 0.587
0.134 0.493 0.582
0.321 0.828 0.254
0.529 0.679 0.250
0.155 0.469 0.250
0.302 0.455 0.759
0.143 0.680 0.762
0.516 0.837 0.757
```

Properties
ΔH_f (0 K)   -2.676 eV per atom
Final energy   -6.941 eV per atom

---

The following is a PBE calculation of a relaxed structure of Ba2GdCu2HgO7, from the Materials Project database.

The structure in POSCAR format:
```
Ba2GdCu2HgO7
1.0
3.899 0.000 0.000
0.000 3.899 0.000
0.000 0.000 12.944
Ba Gd Cu Hg O
2 1 2 1 7
Direct
0.500 0.500 0.203
0.500 0.500 0.797
0.500 0.500 0.500
0.000 0.000 0.371
0.000 0.000 0.629
0.000 0.000 0.000
0.000 0.000 0.164
0.000 0.000 0.836
0.000 0.500 0.387
0.000 0.500 0.613
0.500 0.000 0.387
0.500 0.000 0.613
0.500 0.500 0.000
```

Properties
ΔH_f (0 K)   -2.078 eV per atom
Final energy   -6.404 eV per atom

---

The following is a PBE calculation of a relaxed structure of SrCaHfNbO6, from the Materials Project database.

The structure in POSCAR format:
```
SrCaHfNbO6
1.0
1.346 4.449 3.459
-2.874 5.009 -0.472
-3.671 1.638 4.173
Sr Ca Hf Nb O
1 1 1 1 6
Direct
0.250 0.250 0.250
0.750 0.750 0.750
0.000 0.000 0.000
0.500 0.500 0.500
0.748 0.252 0.252
0.252 0.748 0.748
0.748 0.252 0.748
0.252 0.748 0.252
0.748 0.748 0.252
0.252 0.252 0.748
```

Properties
ΔH_f (0 K)   -3.386 eV per atom
Final energy   -8.318 eV per atom

---

The following is a PBE calculation of a relaxed structure of HgBr, from the Materials Project database.

The structure in POSCAR format:
```
HgBr
1.0
2.190 2.550 5.756
-2.980 5.578 2.107
-1.964 -5.984 -2.183
Hg Br
2 2
Direct
0.884 0.884 0.000
0.116 0.116 0.000
0.657 0.657 0.000
0.343 0.343 0.000
```

Properties
ΔH_f (0 K)   -0.692 eV per atom
Final energy   -1.395 eV per atom

---

The following is a PBE calculation of a relaxed structure of Ba4PrSmCu6O14, from the Materials Project database.

The structure in POSCAR format:
```
Ba4PrSmCu6O14
1.0
3.888 0.000 0.000
0.000 3.960 0.000
0.000 0.000 23.869
Ba Pr Sm Cu O
4 1 1 6 14
Direct
0.500 0.500 0.840
0.500 0.500 0.340
0.500 0.500 0.160
0.500 0.500 0.660
0.500 0.500 0.500
0.500 0.500 0.000
0.000 0.000 0.750
0.000 0.000 0.250
0.000 0.000 0.924
0.000 0.000 0.423
0.000 0.000 0.076
0.000 0.000 0.577
0.000 0.500 0.750
0.000 0.500 0.250
0.000 0.500 0.937
0.000 0.500 0.435
0.000 0.500 0.063
0.000 0.500 0.565
0.000 0.000 0.829
0.000 0.000 0.329
0.000 0.000 0.171
0.000 0.000 0.671
0.500 0.000 0.938
0.500 0.000 0.435
0.500 0.000 0.062
0.500 0.000 0.565
```

Properties
ΔH_f (0 K)   -2.157 eV per atom
Final energy   -6.058 eV per atom

---

The following is a PBE calculation of a relaxed structure of PrSiOs2C, from the Materials Project database.

The structure in POSCAR format:
```
PrSiOs2C
1.0
1.257 5.746 -0.561
-2.993 -4.298 -2.736
-5.889 1.663 3.830
Pr Si Os C
2 2 4 2
Direct
0.549 0.451 0.250
0.451 0.549 0.750
0.270 0.730 0.250
0.730 0.270 0.750
0.834 0.166 0.060
0.166 0.834 0.940
0.166 0.834 0.560
0.834 0.166 0.440
0.000 0.000 0.000
0.000 0.000 0.500
```

Properties
ΔH_f (0 K)   -0.456 eV per atom
Final energy   -8.834 eV per atom

---

The following is a PBE calculation of a relaxed structure of Rb3Ge4Au, from the Materials Project database.

The structure in POSCAR format:
```
Rb3Ge4Au
1.0
-1.289 -4.002 -4.596
6.277 1.237 -2.837
4.972 -9.485 6.865
Rb Ge Au
6 8 2
Direct
0.424 0.500 0.500
0.576 0.000 0.000
0.167 0.000 0.764
0.167 0.000 0.236
0.833 0.500 0.736
0.833 0.500 0.264
0.330 0.500 0.109
0.330 0.500 0.891
0.060 0.302 0.000
0.060 0.698 0.000
0.940 0.802 0.500
0.940 0.198 0.500
0.670 0.000 0.391
0.670 0.000 0.609
0.693 0.500 0.000
0.307 0.000 0.500
```

Properties
ΔH_f (0 K)   -0.266 eV per atom
Final energy   -3.354 eV per atom

---

The following is a PBE calculation of a relaxed structure of NdBi2IO4, from the Materials Project database.

The structure in POSCAR format:
```
NdBi2IO4
1.0
-2.241 -3.285 0.535
1.770 -1.723 -3.163
6.855 -3.722 5.862
Nd Bi I O
1 2 1 4
Direct
0.000 0.000 0.000
0.500 0.500 0.261
0.500 0.500 0.739
0.000 0.000 0.500
0.000 0.500 0.150
0.500 0.000 0.850
0.000 0.500 0.850
0.500 0.000 0.150
```

Properties
ΔH_f (0 K)   -2.229 eV per atom
Final energy   -6.118 eV per atom

---

The following is a PBE calculation of a relaxed structure of SnO2, from the Materials Project database.

The structure in POSCAR format:
```
SnO2
1.0
-11.160 -0.907 -1.322
1.730 -8.651 -6.021
0.056 -6.059 8.638
Sn O
30 60
Direct
0.847 0.096 0.161
0.495 0.575 0.950
0.956 0.825 0.656
0.487 0.874 0.721
0.036 0.651 0.900
0.757 0.545 0.734
0.413 0.353 0.702
0.489 0.245 0.096
0.110 0.591 0.455
0.457 0.973 0.334
0.890 0.402 0.027
0.201 0.600 0.159
0.284 0.772 0.918
0.595 0.898 0.059
0.495 0.555 0.499
0.222 0.363 0.957
0.010 0.922 0.006
0.137 0.298 0.582
0.914 0.655 0.217
0.693 0.772 0.477
0.096 0.150 0.304
0.287 0.355 0.338
0.953 0.174 0.838
0.637 0.563 0.221
0.289 0.092 0.839
0.195 0.933 0.531
0.875 0.091 0.542
0.579 0.258 0.439
0.651 0.141 0.818
0.810 0.430 0.468
0.810 0.287 0.884
0.155 0.735 0.780
0.389 0.532 0.636
0.534 0.442 0.098
0.885 0.277 0.171
0.527 0.649 0.340
0.260 0.548 0.360
0.044 0.308 0.953
0.547 0.751 0.594
0.461 0.396 0.372
0.324 0.206 0.005
0.879 0.051 0.972
0.616 0.155 0.013
0.088 0.766 0.532
0.317 0.955 0.677
0.888 0.544 0.882
0.365 0.941 0.915
0.103 0.330 0.382
0.093 0.695 0.284
0.117 0.484 0.608
0.265 0.183 0.258
0.302 0.897 0.389
0.040 0.985 0.627
0.861 0.430 0.648
0.789 0.528 0.127
0.616 0.514 0.830
0.924 0.105 0.358
0.138 0.779 0.034
0.939 0.536 0.388
0.678 0.561 0.536
0.384 0.431 0.881
0.758 0.231 0.485
0.017 0.538 0.107
0.518 0.163 0.277
0.452 0.182 0.785
0.682 0.402 0.330
0.600 0.699 0.067
0.610 0.938 0.864
0.450 0.939 0.147
0.435 0.721 0.833
0.107 0.052 0.887
0.728 0.962 0.174
0.818 0.078 0.726
0.030 0.034 0.167
0.987 0.224 0.646
0.833 0.902 0.518
0.177 0.544 0.943
0.815 0.707 0.650
0.160 0.110 0.481
0.569 0.346 0.609
0.946 0.814 0.848
0.223 0.268 0.769
0.257 0.418 0.147
0.352 0.666 0.068
0.309 0.301 0.537
0.763 0.689 0.318
0.498 0.087 0.516
0.905 0.793 0.092
0.573 0.027 0.617
0.613 0.904 0.374
```

Properties
ΔH_f (0 K)   -1.442 eV per atom
Final energy   -5.970 eV per atom

---

The following is a PBE calculation of a relaxed structure of MgInIr2, from the Materials Project database.

The structure in POSCAR format:
```
MgInIr2
1.0
0.000 3.189 3.189
3.189 0.000 3.189
3.189 3.189 0.000
Mg In Ir
1 1 2
Direct
0.000 0.000 0.000
0.500 0.500 0.500
0.250 0.250 0.250
0.750 0.750 0.750
```

Properties
ΔH_f (0 K)   -0.258 eV per atom
Final energy   -5.765 eV per atom